# PBE Sm2AsSe, relaxed
data_Sm2AsSe
_chemical_formula_sum 'Sm2 As1 Se1'
_space_group_name_H-M_alt 'P 4/m m m'
_space_group_IT_number 123
_space_group_name_Hall '-P 4 2'
_cell_length_a 4.1941
_cell_length_b 4.1941
_cell_length_c 5.9270
_cell_angle_alpha 90.00
_cell_angle_beta 90.00
_cell_angle_gamma 90.00
loop_
_atom_site_label
_atom_site_fract_x
_atom_site_fract_y
_atom_site_fract_z
Sm1 0.0000 0.0000 0.0000
Sm2 0.5000 0.5000 0.5000
As1 0.0000 0.0000 0.5000
Se1 0.5000 0.5000 0.0000
# **ΔE to the lowest computed polymorph**: 0.282 kcal/mol of atoms



# PBE Sm2AsSe, relaxed
data_Sm2AsSe
_chemical_formula_sum 'Sm6 As3 Se3'
_space_group_name_H-M_alt 'R -3 m'
_space_group_IT_number 166
_space_group_name_Hall '-R 3 2"'
_cell_length_a 4.1962
_cell_length_b 4.1962
_cell_length_c 20.6025
_cell_angle_alpha 90.00
_cell_angle_beta 90.00
_cell_angle_gamma 120.00
loop_
_atom_site_label
_atom_site_fract_x
_atom_site_fract_y
_atom_site_fract_z
Sm1 0.0000 0.0000 0.2462
As1 0.0000 0.0000 0.5000
Se1 0.0000 0.0000 0.0000
# **ΔE to the lowest computed polymorph**: 0.000 kcal/mol of atoms



# PBE Th2AsSe2, relaxed
data_Th2AsSe2
_chemical_formula_sum 'Th2 As1 Se2'
_space_group_name_H-M_alt 'P 4/m m m'
_space_group_IT_number 123
_space_group_name_Hall '-P 4 2'
_cell_length_a 3.2740
_cell_length_b 3.2740
_cell_length_c 15.8122
_cell_angle_alpha 90.00
_cell_angle_beta 90.00
_cell_angle_gamma 90.00
loop_
_atom_site_label
_atom_site_fract_x
_atom_site_fract_y
_atom_site_fract_z
Th1 0.0000 0.0000 0.1875
As1 0.0000 0.0000 0.0000
Se1 0.0000 0.0000 0.3615
# **Total moment**: 0.00 μB per formula unit



# PBE Tl3AsSe3, relaxed
data_Tl3AsSe3
_chemical_formula_sum 'Tl9 As3 Se9'
_space_group_name_H-M_alt 'R 3 m'
_space_group_IT_number 160
_space_group_name_Hall 'R 3 -2"'
_cell_length_a 10.2708
_cell_length_b 10.2708
_cell_length_c 7.2349
_cell_angle_alpha 90.00
_cell_angle_beta 90.00
_cell_angle_gamma 120.00
loop_
_atom_site_label
_atom_site_fract_x
_atom_site_fract_y
_atom_site_fract_z
Tl1 0.1990 0.3981 0.0000
As1 0.0000 0.0000 0.7461
Se1 0.2099 0.4198 0.5574
# **Piezoelectric modulus e_max**: 0.97 C/m²



# PBE TlAsSe2, relaxed
data_TlAsSe2
_chemical_formula_sum 'Tl16 As16 Se32'
_space_group_name_H-M_alt 'P 1 21/c 1'
_space_group_IT_number 14
_space_group_name_Hall '-P 2ybc'
_cell_length_a 6.4590
_cell_length_b 24.5897
_cell_length_c 12.7539
_cell_angle_alpha 90.00
_cell_angle_beta 108.81
_cell_angle_gamma 90.00
loop_
_atom_site_label
_atom_site_fract_x
_atom_site_fract_y
_atom_site_fract_z
Tl1 0.0548 0.1805 0.2714
Tl2 0.1355 0.5653 0.6102
Tl3 0.1512 0.0761 0.6230
Tl4 0.3192 0.1732 0.9962
As1 0.2218 0.7105 0.0028
As2 0.3604 0.6901 0.7460
As3 0.4133 0.5504 0.3582
As4 0.4246 0.0531 0.3916
Se1 0.0025 0.1895 0.7395
Se2 0.1592 0.6937 0.4838
Se3 0.2217 0.0597 0.1613
Se4 0.2306 0.5605 0.1501
Se5 0.3528 0.0453 0.8746
Se6 0.3532 0.5437 0.8900
Se7 0.4317 0.7143 0.2145
Se8 0.4409 0.1954 0.5471
# **Total moment**: 0.01 μB per formula unit



# PBE U2AsSe, relaxed
data_U2AsSe
_chemical_formula_sum 'U8 As4 Se4'
_space_group_name_H-M_alt 'C 1 2/m 1'
_space_group_IT_number 12
_space_group_name_Hall '-C 2y'
_cell_length_a 12.9228
_cell_length_b 5.7800
_cell_length_c 5.7752
_cell_angle_alpha 90.00
_cell_angle_beta 116.48
_cell_angle_gamma 90.00
loop_
_atom_site_label
_atom_site_fract_x
_atom_site_fract_y
_atom_site_fract_z
U1 0.1242 0.0000 0.3705
U2 0.1262 0.5000 0.8804
As1 0.1247 0.0000 0.8696
Se1 0.1249 0.5000 0.3729
# **ΔE to the lowest computed polymorph**: 0.069 kcal/mol of atoms
# **Total moment**: 5.15 μB per formula unit



# PBE U2AsSe, relaxed
data_U2AsSe
_chemical_formula_sum 'U8 As4 Se4'
_space_group_name_H-M_alt 'I 41/a m d'
_space_group_IT_number 141
_cell_length_a 5.7838
_cell_length_b 5.7838
_cell_length_c 11.5095
_cell_angle_alpha 90.00
_cell_angle_beta 90.00
_cell_angle_gamma 90.00
loop_
_space_group_symop_operation_xyz
'x,y,z'
'-x,-y,-z'
'-y+1/4,x+3/4,z+1/4'
'y+1/4,-x+3/4,-z+1/4'
'-x+1/2,-y,z+1/2'
'x+1/2,y,-z+1/2'
'y+1/4,-x+1/4,z+3/4'
'-y+1/4,x+1/4,-z+3/4'
'x,-y,-z'
'-x,y,z'
'-y+1/4,-x+1/4,-z+3/4'
'y+1/4,x+1/4,z+3/4'
'-x+1/2,y,-z+1/2'
'x+1/2,-y,z+1/2'
'y+1/4,x+3/4,-z+1/4'
'-y+1/4,-x+3/4,z+1/4'
'x+1/2,y+1/2,z+1/2'
'-x+1/2,-y+1/2,-z+1/2'
'-y+3/4,x+1/4,z+3/4'
'y+3/4,-x+1/4,-z+3/4'
'-x,-y+1/2,z'
'x,y+1/2,-z'
'y+3/4,-x+3/4,z+1/4'
'-y+3/4,x+3/4,-z+1/4'
'x+1/2,-y+1/2,-z+1/2'
'-x+1/2,y+1/2,z+1/2'
'-y+3/4,-x+3/4,-z+1/4'
'y+3/4,x+3/4,z+1/4'
'-x,y+1/2,-z'
'x,-y+1/2,z'
'y+3/4,x+1/4,-z+3/4'
'-y+3/4,-x+1/4,z+3/4'
loop_
_atom_site_label
_atom_site_fract_x
_atom_site_fract_y
_atom_site_fract_z
U1 0.0000 0.2500 0.1243
As1 0.0000 0.2500 0.8750
Se1 0.0000 0.2500 0.3750
# **ΔE to the lowest computed polymorph**: 0.000 kcal/mol of atoms



# PBE U2AsSe, relaxed
data_U2AsSe
_chemical_formula_sum 'U2 As1 Se1'
_space_group_name_H-M_alt 'P 4/m m m'
_space_group_IT_number 123
_space_group_name_Hall '-P 4 2'
_cell_length_a 4.0765
_cell_length_b 4.0765
_cell_length_c 5.7516
_cell_angle_alpha 90.00
_cell_angle_beta 90.00
_cell_angle_gamma 90.00
loop_
_atom_site_label
_atom_site_fract_x
_atom_site_fract_y
_atom_site_fract_z
U1 0.0000 0.0000 0.0000
U2 0.5000 0.5000 0.5000
As1 0.0000 0.0000 0.5000
Se1 0.5000 0.5000 0.0000
# **ΔE to the lowest computed polymorph**: 0.137 kcal/mol of atoms



| no. | ΔH_f (0 K) (eV per atom) |
| --- | --- |
| 1 | -1.8397 |
| 2 | -1.8519 |
| 3 | 0.0652 |
| 4 | -0.5174 |
| 5 | -0.4807 |
| 6 | -0.9899 |
| 7 | -0.9929 |
| 8 | -0.9870 |